Record 1
Rb7NbAs4: relaxed, GGA-PBE.

Values from the calculation:
largest piezoelectric modulus = 0.2 C/m2
energy of formation = -0.41 eV per atom

abc: 10.811 9.649 8.773
angles: 90.00 90.00 90.00
Positions (direct):
Rb1 0.000 0.029 0.000
Rb2 0.000 0.339 0.787
Rb3 0.000 0.888 0.513
Rb4 0.212 0.532 0.496
Rb5 0.215 0.167 0.330
Rb6 0.285 0.833 0.830
Rb7 0.288 0.468 0.996
Rb8 0.500 0.112 0.013
Rb9 0.500 0.661 0.287
Rb10 0.500 0.971 0.500
Rb11 0.712 0.468 0.996
Rb12 0.715 0.833 0.830
Rb13 0.785 0.167 0.330
Rb14 0.788 0.532 0.496
Nb1 0.000 0.673 0.121
Nb2 0.500 0.327 0.621
As1 0.000 0.419 0.197
As2 0.000 0.683 0.833
As3 0.195 0.800 0.212
As4 0.305 0.200 0.712
As5 0.500 0.317 0.333
As6 0.500 0.581 0.697
As7 0.695 0.200 0.712
As8 0.805 0.800 0.212

Record 2
Na2Be2Si3O9: relaxed, GGA-PBE.

Values from the calculation:
total magnetic moment = 0.000 μB per atom
total energy after the MP2020 corrections = -119.593 eV/f.u.
energy of formation = -3.04 eV per atom

abc: 11.866 9.510 6.880
angles: 90.00 90.00 90.00
Positions (direct):
Na1 0.153 0.033 0.152
Na2 0.153 0.467 0.152
Na3 0.347 0.533 0.652
Na4 0.347 0.967 0.652
Na5 0.653 0.033 0.348
Na6 0.653 0.467 0.348
Na7 0.847 0.533 0.848
Na8 0.847 0.967 0.848
Be1 0.070 0.060 0.594
Be2 0.070 0.440 0.594
Be3 0.430 0.560 0.094
Be4 0.430 0.940 0.094
Be5 0.570 0.060 0.906
Be6 0.570 0.440 0.906
Be7 0.930 0.560 0.406
Be8 0.930 0.940 0.406
Si1 0.003 0.250 0.900
Si2 0.062 0.750 0.671
Si3 0.246 0.750 0.975
Si4 0.254 0.250 0.475
Si5 0.438 0.250 0.171
Si6 0.497 0.750 0.400
Si7 0.503 0.250 0.600
Si8 0.562 0.750 0.829
Si9 0.746 0.750 0.525
Si10 0.754 0.250 0.025
Si11 0.938 0.250 0.329
Si12 0.997 0.750 0.100
O1 0.026 0.250 0.140
O2 0.040 0.609 0.547
O3 0.040 0.891 0.547
O4 0.053 0.104 0.817
O5 0.053 0.396 0.817
O6 0.136 0.750 0.124
O7 0.187 0.103 0.499
O8 0.187 0.397 0.499
O9 0.193 0.750 0.749
O10 0.307 0.250 0.249
O11 0.313 0.603 0.999
O12 0.313 0.897 0.999
O13 0.364 0.250 0.624
O14 0.447 0.604 0.317
O15 0.447 0.896 0.317
O16 0.460 0.109 0.047
O17 0.460 0.391 0.047
O18 0.474 0.750 0.640
O19 0.526 0.250 0.360
O20 0.540 0.609 0.953
O21 0.540 0.891 0.953
O22 0.553 0.104 0.683
O23 0.553 0.396 0.683
O24 0.636 0.750 0.376
O25 0.687 0.103 0.001
O26 0.687 0.397 0.001
O27 0.693 0.750 0.751
O28 0.807 0.250 0.251
O29 0.813 0.603 0.501
O30 0.813 0.897 0.501
O31 0.864 0.250 0.876
O32 0.947 0.604 0.183
O33 0.947 0.896 0.183
O34 0.960 0.109 0.453
O35 0.960 0.391 0.453
O36 0.974 0.750 0.860

Record 3
NaScAlPS2O12: relaxed, GGA-PBE.

Values from the calculation:
total magnetic moment = 0.000 μB per atom
total energy after the MP2020 corrections = -132.169 eV/f.u.
energy of formation = -2.65 eV per atom

abc: 8.564 8.568 22.501
angles: 89.90 89.94 60.05
Positions (direct):
Na1 0.000 0.000 0.000
Na2 0.001 0.001 0.497
Na3 0.329 0.330 0.165
Na4 0.330 0.343 0.665
Na5 0.653 0.666 0.831
Na6 0.653 0.683 0.330
Sc1 0.321 0.338 0.517
Sc2 0.330 0.346 0.812
Sc3 0.640 0.679 0.982
Sc4 0.640 0.683 0.475
Sc5 0.989 0.007 0.645
Sc6 0.990 0.008 0.851
Al1 0.321 0.339 0.019
Al2 0.336 0.321 0.311
Al3 0.649 0.697 0.183
Al4 0.650 0.663 0.683
Al5 0.988 0.009 0.149
Al6 0.990 0.004 0.347
P1 0.310 0.056 0.410
P2 0.320 0.625 0.919
P3 0.355 0.973 0.085
P4 0.369 0.671 0.584
P5 0.698 0.307 0.746
P6 0.707 0.006 0.248
S1 0.037 0.341 0.918
S2 0.039 0.631 0.409
S3 0.278 0.717 0.248
S4 0.292 0.999 0.746
S5 0.609 0.054 0.918
S6 0.617 0.330 0.410
S7 0.656 0.957 0.584
S8 0.657 0.379 0.085
S9 0.940 0.390 0.583
S10 0.950 0.674 0.084
S11 0.979 0.713 0.746
S12 0.987 0.297 0.248
O1 0.015 0.792 0.694
O2 0.017 0.814 0.402
O3 0.019 0.177 0.914
O4 0.022 0.182 0.195
O5 0.115 0.363 0.862
O6 0.122 0.371 0.580
O7 0.129 0.515 0.358
O8 0.131 0.510 0.077
O9 0.137 0.531 0.752
O10 0.142 0.559 0.465
O11 0.143 0.032 0.400
O12 0.149 0.315 0.971
O13 0.149 0.319 0.256
O14 0.151 0.814 0.913
O15 0.166 0.799 0.195
O16 0.168 0.992 0.096
O17 0.180 0.029 0.694
O18 0.181 0.839 0.588
O19 0.199 0.831 0.301
O20 0.214 0.967 0.801
O21 0.281 0.162 0.468
O22 0.296 0.536 0.257
O23 0.299 0.529 0.974
O24 0.308 0.161 0.753
O25 0.340 0.160 0.073
O26 0.342 0.148 0.356
O27 0.348 0.519 0.861
O28 0.352 0.501 0.578
O29 0.433 0.857 0.029
O30 0.451 0.699 0.526
O31 0.461 0.695 0.240
O32 0.473 0.839 0.739
O33 0.482 0.868 0.415
O34 0.483 0.880 0.138
O35 0.485 0.648 0.638
O36 0.490 0.645 0.922
O37 0.492 0.136 0.580
O38 0.493 0.362 0.077
O39 0.498 0.364 0.358
O40 0.505 0.128 0.863
O41 0.510 0.326 0.751
O42 0.515 0.176 0.256
O43 0.521 0.164 0.971
O44 0.542 0.303 0.465
O45 0.627 0.497 0.137
O46 0.634 0.871 0.923
O47 0.635 0.868 0.637
O48 0.639 0.491 0.415
O49 0.681 0.494 0.739
O50 0.683 0.853 0.529
O51 0.685 0.837 0.239
O52 0.694 0.451 0.030
O53 0.784 0.189 0.692
O54 0.788 0.040 0.913
O55 0.794 0.036 0.192
O56 0.797 0.168 0.402
O57 0.811 0.221 0.803
O58 0.815 0.699 0.738
O59 0.815 0.979 0.588
O60 0.818 0.197 0.093
O61 0.824 0.477 0.239
O62 0.824 0.975 0.303
O63 0.838 0.470 0.528
O64 0.842 0.706 0.030
O65 0.855 0.500 0.636
O66 0.857 0.502 0.923
O67 0.859 0.648 0.416
O68 0.864 0.641 0.137
O69 0.952 0.820 0.801
O70 0.957 0.215 0.301
O71 0.961 0.209 0.587
O72 0.970 0.835 0.093

Record 4
PrMg16Al12: relaxed, GGA-PBE.

Values from the calculation:
total magnetic moment = 0.000 μB per atom
energy above the lowest structure with this stoichiometry = 0.132 eV per formula unit
energy of formation = -0.06 eV per atom

abc: 9.305 9.305 9.305
angles: 110.33 110.33 110.33
Positions (direct):
Pr1 0.000 0.000 0.000
Mg1 0.061 0.061 0.661
Mg2 0.061 0.661 0.061
Mg3 0.094 0.762 0.762
Mg4 0.375 0.688 0.982
Mg5 0.375 0.982 0.688
Mg6 0.382 0.382 0.382
Mg7 0.382 0.382 0.722
Mg8 0.382 0.722 0.382
Mg9 0.661 0.061 0.061
Mg10 0.688 0.375 0.982
Mg11 0.688 0.982 0.375
Mg12 0.722 0.382 0.382
Mg13 0.762 0.094 0.762
Mg14 0.762 0.762 0.094
Mg15 0.982 0.375 0.688
Mg16 0.982 0.688 0.375
Al1 0.014 0.194 0.377
Al2 0.014 0.377 0.194
Al3 0.194 0.014 0.377
Al4 0.194 0.377 0.014
Al5 0.203 0.566 0.566
Al6 0.377 0.014 0.194
Al7 0.377 0.194 0.014
Al8 0.564 0.745 0.745
Al9 0.566 0.203 0.566
Al10 0.566 0.566 0.203
Al11 0.745 0.564 0.745
Al12 0.745 0.745 0.564

Record 5
RbCu2H3Se2O10: relaxed, GGA-PBE.

Values from the calculation:
total magnetic moment = 0.111 μB per atom
total energy after the MP2020 corrections = -98.123 eV/f.u.
energy of formation = -1.24 eV per atom

abc: 5.746 5.746 8.174
angles: 111.93 111.93 71.07
Positions (direct):
Rb1 0.000 0.000 0.000
Cu1 0.000 0.500 0.500
Cu2 0.500 0.000 0.500
H1 0.000 0.000 0.500
H2 0.194 0.194 0.702
H3 0.806 0.806 0.298
Se1 0.429 0.429 0.224
Se2 0.571 0.571 0.776
O1 0.149 0.149 0.566
O2 0.245 0.665 0.715
O3 0.313 0.313 0.331
O4 0.320 0.320 0.999
O5 0.335 0.755 0.285
O6 0.665 0.245 0.715
O7 0.680 0.680 0.001
O8 0.687 0.687 0.669
O9 0.755 0.335 0.285
O10 0.851 0.851 0.434

Record 6
PuHgAu2: relaxed, GGA-PBE.

Values from the calculation:
total magnetic moment = 0.079 μB per atom
energy of formation = 0.18 eV per atom

abc: 4.994 4.994 4.994
angles: 60.00 60.00 60.00
Positions (direct):
Pu1 0.000 0.000 0.000
Hg1 0.500 0.500 0.500
Au1 0.250 0.250 0.250
Au2 0.750 0.750 0.750